--- one ---
LiCo6O2F10 (PBE+U, optimized geometry); space group = P1; magnetization = 17.3 μB per cell
1.0
4.8084 0.0000 0.0000
0.0421 4.8253 0.0000
0.0734 0.0136 9.6929
Li Co O F
1 6 2 10
direct
0.0000 0.0000 0.0000
0.2461 0.7395 0.6576
0.2623 0.7355 0.3475
0.3348 0.6608 0.0334
0.7177 0.2728 0.5030
0.7404 0.2410 0.8233
0.8138 0.1898 0.1977
0.1113 0.8848 0.1763
0.4340 0.5603 0.4949
0.0396 0.9499 0.5004
0.0475 0.9406 0.8197
0.4506 0.5382 0.8436
0.5104 0.4929 0.1953
0.5394 0.0523 0.6670
0.5722 0.0312 0.3475
0.6020 0.0108 0.0031
0.9334 0.4460 0.6683
0.9680 0.4234 0.3499
0.9838 0.3906 0.0065

--- two ---
LiCo6O2F10 (PBE+U, optimized geometry); space group = P1; magnetization = 17.3 μB per cell
1.0
4.7624 0.0000 0.0000
0.0501 4.8046 0.0000
0.4327 0.4701 9.9007
Li Co O F
1 6 2 10
direct
0.0000 0.0000 0.0000
0.2034 0.1832 0.4948
0.2488 0.2264 0.1773
0.2610 0.2344 0.8033
0.6442 0.6257 0.9660
0.7225 0.6995 0.6423
0.7457 0.7235 0.3418
0.5428 0.5202 0.7969
0.9117 0.8857 0.5064
0.0267 0.3940 0.6526
0.0287 0.4013 0.9978
0.0330 0.4065 0.3307
0.4185 0.0041 0.6523
0.4206 0.0095 0.9969
0.4284 0.0111 0.3312
0.5189 0.4956 0.4926
0.5414 0.5216 0.1605
0.9388 0.9180 0.8303
0.9480 0.9284 0.1783

Most stable structure, least stable structure: two, one.